[1]
DFT (PBE) results for crystalline Na7Sn12 at its relaxed geometry.

Values from the calculation:
- Formation energy: -2.88 eV/f.u.
- Symmetry: P-1, No. 2
- Magnetic moment: 0.00 μB/cell

The structure in POSCAR format:
```
Na7Sn12
1.0
-0.0075 -9.5220 0.0049
-13.7668 -0.0109 0.0535
0.0246 0.0100 -17.9889
Sn Na
48 28
direct
0.6397 0.6968 0.8845
0.7106 0.7487 0.2502
0.1240 0.5826 0.8757
0.9418 0.0782 0.6750
0.4765 0.0811 0.7615
0.9426 0.4161 0.6582
0.2831 0.5837 0.7399
0.6411 0.4622 0.8769
0.8926 0.7558 0.3799
0.3589 0.5378 0.1231
0.1053 0.2566 0.8786
0.3499 0.9589 0.3729
0.4751 0.7493 0.7499
0.8760 0.4174 0.1243
0.3506 0.9115 0.1008
0.2850 0.9159 0.7599
0.1008 0.5882 0.6094
0.7150 0.0841 0.2401
0.0574 0.5839 0.3418
0.9425 0.0841 0.8421
0.3560 0.2009 0.3841
0.9375 0.7566 0.6661
0.0582 0.9218 0.3250
0.9380 0.4248 0.8262
0.5212 0.5796 0.2617
0.1153 0.9172 0.6267
0.6492 0.4119 0.5997
0.2894 0.2513 0.7498
0.8947 0.7434 0.1214
0.6501 0.0411 0.6271
0.0997 0.9113 0.8891
0.3508 0.5881 0.4003
0.5249 0.2507 0.2501
0.4788 0.4204 0.7383
0.0628 0.2587 0.1649
0.7169 0.4163 0.2601
0.9372 0.7413 0.8351
0.5235 0.9189 0.2385
0.6440 0.7991 0.6159
0.8992 0.4118 0.3906
0.0575 0.9159 0.1579
0.9003 0.0887 0.1109
0.6494 0.0885 0.8992
0.0620 0.5752 0.1738
0.3603 0.3032 0.1155
0.1074 0.2442 0.6201
0.0625 0.2434 0.3339
0.8847 0.0828 0.3733
0.5553 0.3976 0.4246
0.4011 0.9322 0.5525
0.8170 0.5951 0.5124
0.8149 0.2719 0.9792
0.1830 0.4049 0.4876
0.8164 0.9036 0.9876
0.2674 0.4124 0.2787
0.7322 0.9108 0.7801
0.4441 0.2256 0.5815
0.8232 0.2361 0.5222
0.2680 0.7487 0.2491
0.5546 0.1028 0.0751
0.1768 0.7639 0.4778
0.1836 0.0964 0.0124
0.4454 0.8972 0.9249
0.1494 0.4211 0.0081
0.8506 0.5789 0.9919
0.4447 0.6024 0.5754
0.2678 0.0892 0.2199
0.4464 0.2813 0.9224
0.7320 0.2513 0.7509
0.7326 0.5876 0.7213
0.1399 0.0852 0.4900
0.1851 0.7281 0.0208
0.5989 0.0678 0.4475
0.8601 0.9148 0.5100
0.5536 0.7187 0.0776
0.5559 0.7744 0.4185
```


[2]
DFT (PBE) results for crystalline NaPrO2 at its relaxed geometry.

Values from the calculation:
- Formation energy: -11.83 eV/f.u.
- Symmetry: I4_1/amd, No. 141

The structure in POSCAR format:
```
NaPrO2
1.0
-2.3984 2.3984 5.6345
2.3984 -2.3984 5.6345
2.3984 2.3984 -5.6345
Pr O Na
2 4 2
direct
0.5000 0.5000 0.0000
0.2500 0.7500 0.5000
0.4671 0.9671 0.5000
0.2829 0.2829 0.0000
0.0329 0.5329 0.5000
0.7171 0.7171 0.0000
0.0000 0.0000 0.0000
0.7500 0.2500 0.5000
```


[3]
DFT (PBE) results for crystalline Sb2Cl7F3 at its relaxed geometry.

Values from the calculation:
- Formation energy: -15.06 eV/f.u.
- Symmetry: C2, No. 5

The structure in POSCAR format:
```
Sb2Cl7F3
1.0
4.0011 9.5169 0.0000
-4.0011 9.5169 0.0000
0.0000 9.4811 9.5314
Sb Cl F
4 14 6
direct
0.0819 0.0119 0.7338
0.2571 0.1769 0.8296
0.8231 0.7429 0.1704
0.9881 0.9181 0.2662
0.7229 0.6838 0.0972
0.4051 0.3043 0.5882
0.7127 0.2212 0.2351
0.3162 0.2771 0.9028
0.7788 0.2873 0.7649
0.2314 0.1684 0.5015
0.5140 0.8599 0.8593
0.8316 0.7686 0.4985
0.2737 0.6331 0.2304
0.0038 0.8820 0.7001
0.6957 0.5949 0.4118
0.3669 0.7263 0.7696
0.1401 0.4860 0.1407
0.1180 0.9962 0.2999
0.6005 0.9944 0.1675
0.9453 0.8952 0.9604
0.1048 0.0547 0.0396
0.0056 0.3995 0.8325
0.9028 0.8551 0.1983
0.1449 0.0972 0.8017
```


[4]
DFT (PBE) results for crystalline AlBr3N at its relaxed geometry.

Values from the calculation:
- Formation energy: 0.42 eV/f.u.
- Symmetry: Pbca, No. 61
- Magnetic moment: 0.00 μB/cell

The structure in POSCAR format:
```
AlBr3N
1.0
-10.9121 -4.3694 -2.7917
3.2430 -11.3200 5.0414
-6.6780 5.7227 17.1457
Br N Al
48 16 16
direct
0.6395 0.2060 0.7753
0.6314 0.0892 0.0088
0.3583 0.4879 0.1506
0.3971 0.6123 0.9578
0.8686 0.9108 0.5088
0.6350 0.7385 0.1060
0.6350 0.7615 0.6060
0.8971 0.8877 0.0422
0.3686 0.5892 0.4912
0.0656 0.9109 0.6965
0.8583 0.0121 0.8494
0.6395 0.2940 0.2753
0.8971 0.6123 0.5422
0.5656 0.9109 0.8035
0.6029 0.1123 0.5422
0.3650 0.2385 0.3940
0.3605 0.7060 0.7247
0.1395 0.2940 0.2247
0.1029 0.1123 0.9578
0.3650 0.2615 0.8940
0.1350 0.7385 0.3940
0.1417 0.9879 0.1506
0.1314 0.4108 0.9912
0.3686 0.9108 0.9912
0.9344 0.0891 0.3035
0.1350 0.7615 0.8940
0.8650 0.2385 0.1060
0.8583 0.4879 0.3494
0.3605 0.7940 0.2247
0.8605 0.7060 0.7753
0.6417 0.5121 0.8494
0.3583 0.0121 0.6506
0.8605 0.7940 0.2753
0.8686 0.5892 0.0088
0.1314 0.0892 0.4912
0.4344 0.4109 0.6965
0.1417 0.5121 0.6506
0.6417 0.9879 0.3494
0.9344 0.4109 0.8035
0.8650 0.2615 0.6060
0.5656 0.5891 0.3035
0.6314 0.4108 0.5088
0.0656 0.5891 0.1965
0.6029 0.3877 0.0422
0.1029 0.3877 0.4578
0.1395 0.2060 0.7247
0.3971 0.8877 0.4578
0.4344 0.0891 0.1965
0.2003 0.7224 0.0536
0.2997 0.2224 0.0536
0.7438 0.9967 0.1955
0.7997 0.2224 0.4464
0.7997 0.2776 0.9464
0.2438 0.9967 0.3045
0.2562 0.0033 0.8045
0.7003 0.7224 0.4464
0.2562 0.4967 0.3045
0.7562 0.4967 0.1955
0.2003 0.7776 0.5536
0.2438 0.5033 0.8045
0.7438 0.5033 0.6955
0.2997 0.2776 0.5536
0.7003 0.7776 0.9464
0.7562 0.0033 0.6955
0.7158 0.2447 0.0346
0.7842 0.7553 0.5346
0.6976 0.4624 0.2909
0.6976 0.0376 0.7909
0.3024 0.5376 0.7091
0.8024 0.5376 0.7909
0.7842 0.7447 0.0346
0.2842 0.7553 0.9654
0.1976 0.4624 0.2091
0.2158 0.2553 0.9654
0.2842 0.7447 0.4654
0.2158 0.2447 0.4654
0.7158 0.2553 0.5346
0.3024 0.9624 0.2091
0.1976 0.0376 0.7091
0.8024 0.9624 0.2909
```


[5]
DFT (PBE) results for crystalline Sn2H2SO5F2 at its relaxed geometry.

Values from the calculation:
- Formation energy: -22.60 eV/f.u.
- Symmetry: P2_1/c, No. 14
- Magnetic moment: 0.00 μB/cell

The structure in POSCAR format:
```
Sn2H2SO5F2
1.0
13.0369 0.0000 0.0000
0.0000 7.1126 0.0000
0.0000 0.1240 7.3239
H F O S Sn
8 8 20 4 8
direct
0.7630 0.9452 0.7459
0.6813 0.9379 0.0497
0.1813 0.0621 0.4503
0.2370 0.0548 0.2541
0.2630 0.0548 0.7541
0.7370 0.9452 0.2459
0.3187 0.0621 0.9503
0.8187 0.9379 0.5497
0.8618 0.2618 0.9632
0.3372 0.7636 0.1591
0.6628 0.2364 0.8409
0.3618 0.7382 0.5368
0.8372 0.2364 0.3409
0.1382 0.7382 0.0368
0.6382 0.2618 0.4632
0.1628 0.7636 0.6591
0.8200 0.7891 0.3725
0.6800 0.7891 0.8725
0.4159 0.4141 0.3361
0.4961 0.7480 0.9120
0.5841 0.5859 0.6639
0.1839 0.9924 0.3321
0.5039 0.2520 0.0880
0.4370 0.0794 0.3570
0.3200 0.2109 0.1275
0.6839 0.0076 0.1679
0.8161 0.0076 0.6679
0.5630 0.9206 0.6430
0.0841 0.4141 0.8361
0.9961 0.2520 0.5880
0.9159 0.5859 0.1639
0.1800 0.2109 0.6275
0.3161 0.9924 0.8321
0.9370 0.9206 0.1430
0.0039 0.7480 0.4120
0.0630 0.0794 0.8570
0.4187 0.2417 0.2252
0.5813 0.7583 0.7748
0.0813 0.2417 0.7252
0.9187 0.7583 0.2748
0.0203 0.7607 0.8296
0.9797 0.2393 0.1704
0.8190 0.3213 0.6545
0.6810 0.3213 0.1545
0.1810 0.6787 0.3455
0.3190 0.6787 0.8455
0.4797 0.7607 0.3296
0.5203 0.2393 0.6704
```


[6]
DFT (PBE) results for crystalline LaMg14Co at its relaxed geometry.

Values from the calculation:
- Formation energy: 1.64 eV/f.u.
- Symmetry: P-6m2, No. 187
- Relative energy among the computed polymorphs: 0.041 eV/atom
- Magnetic moment: 1.89 μB/cell

The structure in POSCAR format:
```
LaMg14Co
1.0
-1.0023 -5.3718 3.4925
6.0484 1.8843 -1.3870
0.2433 5.5190 8.5587
La Mg Co
1 14 1
direct
0.1667 0.3333 0.6250
0.8333 0.6667 0.3837
0.8333 0.6667 0.8663
0.6602 0.8398 0.6250
0.6696 0.3392 0.1250
0.3295 0.6589 0.3554
0.8411 0.1705 0.3554
0.3295 0.1705 0.3554
0.1795 0.8398 0.6250
0.3295 0.6589 0.8946
0.1608 0.8304 0.1250
0.6696 0.8304 0.1250
0.3295 0.1705 0.8946
0.6602 0.3205 0.6250
0.8411 0.1705 0.8946
0.1667 0.3333 0.1250
```


[7]
DFT (PBE) results for crystalline CuAgSe at its relaxed geometry.

Values from the calculation:
- Formation energy: -0.61 eV/f.u.
- Symmetry: Pmmn, No. 59
- Magnetic moment: 0.00 μB/cell

The structure in POSCAR format:
```
CuAgSe
1.0
4.1497 0.0000 0.0000
0.0000 4.1447 0.0000
0.0000 0.0000 6.2349
Se Cu Ag
2 2 2
direct
0.7500 0.7500 0.2479
0.2500 0.2500 0.7521
0.7500 0.2500 0.0015
0.2500 0.7500 0.9985
0.7500 0.7500 0.6869
0.2500 0.2500 0.3131
```


[8]
DFT (PBE) results for crystalline ErB2C2 at its relaxed geometry.

Values from the calculation:
- Formation energy: -1.47 eV/f.u.
- Symmetry: P4_2/mmc, No. 131
- Magnetic moment: 0.00 μB/cell

The structure in POSCAR format:
```
ErB2C2
1.0
-2.1980 -1.8241 2.4897
0.2682 -3.1578 -2.0769
5.7551 -1.9251 3.6703
B Er C
4 2 4
direct
0.7850 0.5000 0.0000
0.5000 0.7850 0.5000
0.2150 0.5000 0.0000
0.5000 0.2150 0.5000
0.0000 0.0000 0.2500
0.0000 0.0000 0.7500
0.5000 0.8123 0.0000
0.5000 0.1877 0.0000
0.1877 0.5000 0.5000
0.8123 0.5000 0.5000
```


[9]
DFT (PBE) results for crystalline Nd2P3H5O10 at its relaxed geometry.

Values from the calculation:
- Formation energy: -48.65 eV/f.u.
- Symmetry: P2_1/c, No. 14
- Magnetic moment: 0.00 μB/cell

The structure in POSCAR format:
```
Nd2P3H5O10
1.0
8.0438 0.0000 0.0000
0.0000 9.7322 0.0000
0.0000 5.4436 12.4639
H O Nd P
20 40 8 12
direct
0.4756 0.8747 0.2343
0.0702 0.7612 0.6784
0.5702 0.2388 0.8216
0.7379 0.7950 0.9861
0.8897 0.0073 0.5161
0.7607 0.6404 0.6720
0.9756 0.1253 0.2657
0.5244 0.1253 0.7657
0.4298 0.7612 0.1784
0.7393 0.6404 0.1720
0.7621 0.7950 0.4861
0.1103 0.9927 0.4839
0.2607 0.3596 0.8280
0.0244 0.8747 0.7343
0.2393 0.3596 0.3280
0.3897 0.9927 0.9839
0.9298 0.2388 0.3216
0.2379 0.2050 0.5139
0.6103 0.0073 0.0161
0.2621 0.2050 0.0139
0.1605 0.0810 0.8700
0.1855 0.8349 0.3947
0.3395 0.0810 0.3700
0.6855 0.1651 0.1053
0.3849 0.8388 0.2015
0.9149 0.4302 0.7936
0.4149 0.5698 0.7064
0.0587 0.3557 0.0522
0.1151 0.8388 0.7015
0.1491 0.8386 0.0455
0.1746 0.5587 0.3837
0.5418 0.3695 0.8759
0.9413 0.6443 0.9478
0.8254 0.4413 0.6163
0.6605 0.9190 0.6300
0.4582 0.6305 0.1241
0.0418 0.6305 0.6241
0.5851 0.4302 0.2936
0.8324 0.6951 0.3570
0.6253 0.9169 0.3204
0.6676 0.6951 0.8570
0.4413 0.3557 0.5522
0.1253 0.0831 0.1796
0.3145 0.8349 0.8947
0.1676 0.3049 0.6430
0.8747 0.9169 0.8204
0.8509 0.1614 0.9545
0.3509 0.8386 0.5455
0.0851 0.5698 0.2064
0.8849 0.1612 0.2985
0.6151 0.1612 0.7985
0.6746 0.4413 0.1163
0.3254 0.5587 0.8837
0.3324 0.3049 0.1430
0.8395 0.9190 0.1300
0.6491 0.1614 0.4545
0.8145 0.1651 0.6053
0.3747 0.0831 0.6796
0.5587 0.6443 0.4478
0.9582 0.3695 0.3759
0.4198 0.8190 0.7302
0.2111 0.5912 0.0361
0.0802 0.8190 0.2302
0.9198 0.1810 0.7698
0.2889 0.5912 0.5361
0.5802 0.1810 0.2698
0.7111 0.4088 0.4639
0.7889 0.4088 0.9639
0.7498 0.0579 0.5540
0.8054 0.7678 0.8999
0.7502 0.0579 0.0540
0.3054 0.2322 0.6001
0.1139 0.4618 0.3250
0.6139 0.5382 0.1750
0.2502 0.9421 0.4460
0.3861 0.4618 0.8250
0.2498 0.9421 0.9460
0.1946 0.2322 0.1001
0.8861 0.5382 0.6750
0.6946 0.7678 0.3999
```